# 1
VASP calculation (GGA-PBE) on ZrH9N3F7 after structural relaxation.

The structure in CIF format:
```
data_ZrH9N3F7
_chemical_formula_sum 'Zr4 H36 N12 F28'
_symmetry_space_group_name_H-M 'P 1'
_symmetry_Int_Tables_number 1
_cell_length_a 5.6706
_cell_length_b 10.9277
_cell_length_c 11.0247
_cell_angle_alpha 90.00
_cell_angle_beta 90.00
_cell_angle_gamma 95.09
loop_
_symmetry_equiv_pos_as_xyz
'x,y,z'
loop_
_atom_site_label
_atom_site_fract_x
_atom_site_fract_y
_atom_site_fract_z
_atom_site_occupancy
Zr1 0.0547 0.6266 0.7930 1
Zr2 0.9453 0.3734 0.2930 1
Zr3 0.0047 0.8617 0.5932 1
Zr4 0.9953 0.1383 0.0932 1
H1 0.0039 0.7981 0.3093 1
H2 0.9961 0.2019 0.8093 1
H3 0.7388 0.7510 0.2217 1
H4 0.2612 0.2490 0.7217 1
H5 0.9535 0.6522 0.2656 1
H6 0.0465 0.3478 0.7656 1
H7 0.0677 0.8578 0.1054 1
H8 0.9323 0.1422 0.6054 1
H9 0.0005 0.7120 0.0601 1
H10 0.9995 0.2880 0.5601 1
H11 0.2571 0.7512 0.1522 1
H12 0.7429 0.2488 0.6522 1
H13 0.5020 0.4405 0.8464 1
H14 0.4980 0.5595 0.3464 1
H15 0.7529 0.4221 0.9322 1
H16 0.2471 0.5779 0.4322 1
H17 0.5028 0.3165 0.9421 1
H18 0.4972 0.6835 0.4421 1
H19 0.2826 0.4579 0.0257 1
H20 0.7174 0.5421 0.5257 1
H21 0.5417 0.4626 0.1108 1
H22 0.4583 0.5374 0.6108 1
H23 0.4910 0.5716 0.0016 1
H24 0.5090 0.4284 0.5016 1
H25 0.5664 0.0103 0.2660 1
H26 0.4336 0.9897 0.7660 1
H27 0.4206 0.9234 0.3791 1
H28 0.5794 0.0766 0.8791 1
H29 0.7001 0.0016 0.4065 1
H30 0.2999 0.9984 0.9065 1
H31 0.5354 0.1873 0.4044 1
H32 0.4646 0.8127 0.9044 1
H33 0.2765 0.1156 0.3460 1
H34 0.7235 0.8844 0.8460 1
H35 0.3593 0.0817 0.4913 1
H36 0.6407 0.9183 0.9913 1
N1 0.9325 0.7420 0.2393 1
N2 0.0675 0.2580 0.7393 1
N3 0.0731 0.7662 0.1316 1
N4 0.9269 0.2338 0.6316 1
N5 0.5649 0.4087 0.9293 1
N6 0.4351 0.5913 0.4293 1
N7 0.4656 0.4787 0.0248 1
N8 0.5344 0.5213 0.5248 1
N9 0.5359 0.0022 0.3593 1
N10 0.4641 0.9978 0.8593 1
N11 0.4189 0.1056 0.4033 1
N12 0.5811 0.8944 0.9033 1
F1 0.7800 0.7287 0.7057 1
F2 0.2200 0.2713 0.2057 1
F3 0.1627 0.8224 0.7729 1
F4 0.8373 0.1776 0.2729 1
F5 0.1525 0.6822 0.6051 1
F6 0.8475 0.3178 0.1051 1
F7 0.8312 0.6679 0.9345 1
F8 0.1688 0.3321 0.4345 1
F9 0.3125 0.6819 0.9280 1
F10 0.6875 0.3181 0.4280 1
F11 0.8608 0.4888 0.7022 1
F12 0.1392 0.5112 0.2022 1
F13 0.3461 0.5258 0.7437 1
F14 0.6539 0.4742 0.2437 1
F15 0.0337 0.4663 0.9116 1
F16 0.9663 0.5337 0.4116 1
F17 0.8418 0.9748 0.7088 1
F18 0.1582 0.0252 0.2088 1
F19 0.3086 0.9878 0.6148 1
F20 0.6914 0.0122 0.1148 1
F21 0.7348 0.7926 0.4792 1
F22 0.2652 0.2074 0.9792 1
F23 0.1955 0.8376 0.4279 1
F24 0.8045 0.1624 0.9279 1
F25 0.9290 0.0205 0.4875 1
F26 0.0710 0.9795 0.9875 1
F27 0.4989 0.7513 0.2022 1
F28 0.5011 0.2487 0.7022 1
```

Calculated values
- Calculated formation energy: -1.708 eV per atom
- Space group: P2_1 (4)


# 2
VASP calculation (GGA-PBE) on NdBC after structural relaxation.

The structure in CIF format:
```
data_NdBC
_chemical_formula_sum 'Nd20 B20 C20'
_symmetry_space_group_name_H-M 'P 1'
_symmetry_Int_Tables_number 1
_cell_length_a 8.4536
_cell_length_b 8.4863
_cell_length_c 12.3030
_cell_angle_alpha 90.00
_cell_angle_beta 90.00
_cell_angle_gamma 90.00
loop_
_symmetry_equiv_pos_as_xyz
'x,y,z'
loop_
_atom_site_label
_atom_site_fract_x
_atom_site_fract_y
_atom_site_fract_z
_atom_site_occupancy
Nd1 0.8433 0.0920 0.0965 1
Nd2 0.4515 0.9020 0.1399 1
Nd3 0.2546 0.7115 0.6731 1
Nd4 0.3394 0.0087 0.4202 1
Nd5 0.7454 0.2115 0.8269 1
Nd6 0.5617 0.8013 0.8655 1
Nd7 0.2454 0.2885 0.1731 1
Nd8 0.8394 0.4913 0.5798 1
Nd9 0.4383 0.3013 0.6345 1
Nd10 0.3433 0.4080 0.9035 1
Nd11 0.1567 0.5920 0.4035 1
Nd12 0.9383 0.1987 0.3655 1
Nd13 0.0617 0.6987 0.1345 1
Nd14 0.6567 0.9080 0.5965 1
Nd15 0.0485 0.0980 0.6399 1
Nd16 0.7546 0.7885 0.3269 1
Nd17 0.1606 0.9913 0.9202 1
Nd18 0.5485 0.4020 0.3601 1
Nd19 0.6606 0.5087 0.0798 1
Nd20 0.9515 0.5980 0.8601 1
B1 0.0624 0.2985 0.8210 1
B2 0.5193 0.6107 0.5413 1
B3 0.1166 0.3976 0.7128 1
B4 0.6846 0.1925 0.5088 1
B5 0.4021 0.0235 0.7394 1
B6 0.1846 0.3075 0.4912 1
B7 0.3834 0.6024 0.2128 1
B8 0.4807 0.1107 0.9587 1
B9 0.8834 0.8976 0.7872 1
B10 0.9807 0.3893 0.0413 1
B11 0.0979 0.9765 0.2394 1
B12 0.6166 0.1024 0.2872 1
B13 0.0193 0.8893 0.4587 1
B14 0.9376 0.7985 0.6790 1
B15 0.5979 0.5235 0.7606 1
B16 0.8154 0.8075 0.0088 1
B17 0.4376 0.7015 0.3210 1
B18 0.9021 0.4765 0.2606 1
B19 0.5624 0.2015 0.1790 1
B20 0.3154 0.6925 0.9912 1
C1 0.4740 0.6934 0.4393 1
C2 0.1461 0.3963 0.5925 1
C3 0.8536 0.4966 0.3744 1
C4 0.2435 0.2988 0.3790 1
C5 0.7565 0.7988 0.1210 1
C6 0.5566 0.6109 0.6593 1
C7 0.0566 0.8891 0.3407 1
C8 0.6461 0.1037 0.4075 1
C9 0.9740 0.8066 0.5607 1
C10 0.1464 0.9966 0.1256 1
C11 0.2565 0.7012 0.8790 1
C12 0.9434 0.3891 0.1593 1
C13 0.3539 0.6037 0.0925 1
C14 0.5260 0.1934 0.0607 1
C15 0.8539 0.8963 0.9075 1
C16 0.0260 0.3066 0.9393 1
C17 0.6464 0.5034 0.8744 1
C18 0.7435 0.2012 0.6210 1
C19 0.4434 0.1109 0.8407 1
C20 0.3536 0.0034 0.6256 1
```

Calculated values
- Calculated formation energy: -0.364 eV per atom
- Space group: P2_12_12_1 (19)


# 3
VASP calculation (GGA-PBE) on RbMg14Cu after structural relaxation.

The structure in CIF format:
```
data_RbMg14Cu
_chemical_formula_sum 'Rb1 Mg14 Cu1'
_symmetry_space_group_name_H-M 'P 1'
_symmetry_Int_Tables_number 1
_cell_length_a 6.4931
_cell_length_b 6.4931
_cell_length_c 10.5865
_cell_angle_alpha 90.00
_cell_angle_beta 90.00
_cell_angle_gamma 120.00
loop_
_symmetry_equiv_pos_as_xyz
'x,y,z'
loop_
_atom_site_label
_atom_site_fract_x
_atom_site_fract_y
_atom_site_fract_z
_atom_site_occupancy
Rb1 0.1667 0.3333 0.6250 1
Mg1 0.1567 0.8283 0.1250 1
Mg2 0.1744 0.8372 0.6250 1
Mg3 0.6717 0.3433 0.1250 1
Mg4 0.6628 0.3256 0.6250 1
Mg5 0.6717 0.8283 0.1250 1
Mg6 0.6628 0.8372 0.6250 1
Mg7 0.3336 0.1664 0.3463 1
Mg8 0.3336 0.1664 0.9037 1
Mg9 0.3336 0.6673 0.3463 1
Mg10 0.3336 0.6673 0.9037 1
Mg11 0.8327 0.1664 0.3463 1
Mg12 0.8327 0.1664 0.9037 1
Mg13 0.8333 0.6667 0.3812 1
Mg14 0.8333 0.6667 0.8688 1
Cu1 0.1667 0.3333 0.1250 1
```

Calculated values
- ΔE to the lowest computed polymorph: 0.007 eV/atom
- Calculated formation energy: 0.168 eV per atom
- Space group: P-6m2 (187)


# 4
VASP calculation (GGA-PBE) on Nd3O2F5 after structural relaxation.

The structure in CIF format:
```
data_Nd3O2F5
_chemical_formula_sum 'Nd6 O4 F10'
_symmetry_space_group_name_H-M 'P 1'
_symmetry_Int_Tables_number 1
_cell_length_a 3.8416
_cell_length_b 5.6141
_cell_length_c 14.9947
_cell_angle_alpha 86.68
_cell_angle_beta 90.00
_cell_angle_gamma 90.00
loop_
_symmetry_equiv_pos_as_xyz
'x,y,z'
loop_
_atom_site_label
_atom_site_fract_x
_atom_site_fract_y
_atom_site_fract_z
_atom_site_occupancy
Nd1 0.0000 0.9293 0.0933 1
Nd2 0.0000 0.8344 0.7384 1
Nd3 0.0000 0.8026 0.3648 1
Nd4 0.5000 0.3440 0.5151 1
Nd5 0.5000 0.4191 0.2167 1
Nd6 0.5000 0.4243 0.9061 1
O1 0.0000 0.6630 0.2271 1
O2 0.5000 0.6216 0.7737 1
O3 0.5000 0.5665 0.3712 1
O4 0.5000 0.0444 0.1565 1
F1 0.0000 0.1912 0.9528 1
F2 0.0000 0.1001 0.4844 1
F3 0.0000 0.5704 0.5008 1
F4 0.0000 0.6761 0.8956 1
F5 0.0000 0.3569 0.1134 1
F6 0.5000 0.6810 0.0344 1
F7 0.5000 0.0940 0.6481 1
F8 0.5000 0.0821 0.8227 1
F9 0.5000 0.6436 0.6058 1
F10 0.5000 0.0891 0.3404 1
```

Calculated values
- ΔE to the lowest computed polymorph: 0.055 eV/atom
- Calculated formation energy: -4.038 eV per atom
- Space group: Pm (6)


# 5
VASP calculation (GGA-PBE) on Be2Zn after structural relaxation.

The structure in CIF format:
```
data_Be2Zn
_chemical_formula_sum 'Be2 Zn1'
_symmetry_space_group_name_H-M 'P 1'
_symmetry_Int_Tables_number 1
_cell_length_a 6.2473
_cell_length_b 6.0106
_cell_length_c 2.4800
_cell_angle_alpha 83.74
_cell_angle_beta 73.02
_cell_angle_gamma 23.24
loop_
_symmetry_equiv_pos_as_xyz
'x,y,z'
loop_
_atom_site_label
_atom_site_fract_x
_atom_site_fract_y
_atom_site_fract_z
_atom_site_occupancy
Be1 0.8238 0.8238 0.1762 1
Be2 0.1762 0.1762 0.8238 1
Zn1 0.5000 0.5000 0.5000 1
```

Calculated values
- Calculated formation energy: 0.278 eV per atom
- Space group: Fmmm (69)


# 6
VASP calculation (GGA-PBE) on Na2Ti2Si2O11 after structural relaxation.

The structure in CIF format:
```
data_Na2Ti2Si2O11
_chemical_formula_sum 'Na4 Ti4 Si4 O22'
_symmetry_space_group_name_H-M 'P 1'
_symmetry_Int_Tables_number 1
_cell_length_a 5.4051
_cell_length_b 7.0775
_cell_length_c 12.4502
_cell_angle_alpha 93.52
_cell_angle_beta 96.77
_cell_angle_gamma 90.29
loop_
_symmetry_equiv_pos_as_xyz
'x,y,z'
loop_
_atom_site_label
_atom_site_fract_x
_atom_site_fract_y
_atom_site_fract_z
_atom_site_occupancy
Na1 0.1693 0.6657 0.7936 1
Na2 0.8307 0.3343 0.2064 1
Na3 0.2554 0.8855 0.5155 1
Na4 0.7446 0.1145 0.4845 1
Ti1 0.1637 0.1744 0.7357 1
Ti2 0.8363 0.8256 0.2643 1
Ti3 0.2200 0.3858 0.4955 1
Ti4 0.7800 0.6142 0.5045 1
Si1 0.6767 0.8781 0.7214 1
Si2 0.3233 0.1219 0.2786 1
Si3 0.6463 0.4464 0.7297 1
Si4 0.3537 0.5536 0.2703 1
O1 0.6730 0.6707 0.7759 1
O2 0.3270 0.3293 0.2241 1
O3 0.5898 0.4373 0.5938 1
O4 0.4102 0.5627 0.4062 1
O5 0.6601 0.8349 0.5884 1
O6 0.3399 0.1651 0.4116 1
O7 0.6368 0.2330 0.0032 1
O8 0.3632 0.7670 0.9968 1
O9 0.0851 0.5990 0.5832 1
O10 0.9149 0.4010 0.4168 1
O11 0.8687 0.8084 0.4091 1
O12 0.1313 0.1916 0.5909 1
O13 0.9102 0.3521 0.7694 1
O14 0.0898 0.6479 0.2306 1
O15 0.9469 0.9709 0.7677 1
O16 0.0531 0.0291 0.2323 1
O17 0.4137 0.1931 0.9948 1
O18 0.5863 0.8069 0.0052 1
O19 0.4047 0.3707 0.7816 1
O20 0.5953 0.6293 0.2184 1
O21 0.4293 0.9892 0.7492 1
O22 0.5707 0.0108 0.2508 1
```

Calculated values
- Calculated formation energy: -2.499 eV per atom
- Space group: P-1 (2)